{"formula": "ZrMnGa", "functional": "GGA-PBE", "state": "relaxed", "spacegroup": "Amm2 (38)", "cell": [[8.461, 0.000, 0.000], [0.000, 2.570, 4.394], [0.000, -2.570, 4.394]], "species": ["Zr", "Zr", "Zr", "Zr", "Mn", "Mn", "Mn", "Mn", "Ga", "Ga", "Ga", "Ga"], "fractional_positions": [[0.176, 0.000, 0.000], [0.308, 0.664, 0.664], [0.692, 0.664, 0.664], [0.824, 0.000, 0.000], [0.000, 0.505, 0.505], [0.000, 0.515, 0.955], [0.000, 0.955, 0.515], [0.500, 0.165, 0.165], [0.233, 0.324, 0.324], [0.500, 0.163, 0.675], [0.500, 0.675, 0.163], [0.767, 0.324, 0.324]]}

{"formula": "Ga31Mo6", "functional": "GGA-PBE", "state": "relaxed", "spacegroup": "P-1 (2)", "cell": [[9.584, 0.000, 0.000], [0.753, 9.556, 0.000], [0.762, 2.271, 14.381]], "species": ["Ga", "Ga", "Ga", "Ga", "Ga", "Ga", "Ga", "Ga", "Ga", "Ga", "Ga", "Ga", "Ga", "Ga", "Ga", "Ga", "Ga", "Ga", "Ga", "Ga", "Ga", "Ga", "Ga", "Ga", "Ga", "Ga", "Ga", "Ga", "Ga", "Ga", "Ga", "Ga", "Ga", "Ga", "Ga", "Ga", "Ga", "Ga", "Ga", "Ga", "Ga", "Ga", "Ga", "Ga", "Ga", "Ga", "Ga", "Ga", "Ga", "Ga", "Ga", "Ga", "Ga", "Ga", "Ga", "Ga", "Ga", "Ga", "Ga", "Ga", "Ga", "Ga", "Mo", "Mo", "Mo", "Mo", "Mo", "Mo", "Mo", "Mo", "Mo", "Mo", "Mo", "Mo"], "fractional_positions": [[0.000, 0.000, 0.000], [0.000, 0.500, 0.500], [0.019, 0.236, 0.737], [0.049, 0.783, 0.437], [0.071, 0.531, 0.672], [0.074, 0.267, 0.917], [0.089, 0.039, 0.175], [0.106, 0.565, 0.853], [0.111, 0.818, 0.609], [0.149, 0.039, 0.363], [0.160, 0.312, 0.084], [0.166, 0.848, 0.787], [0.177, 0.521, 0.216], [0.202, 0.332, 0.403], [0.211, 0.598, 0.021], [0.214, 0.078, 0.536], [0.269, 0.881, 0.962], [0.278, 0.730, 0.309], [0.279, 0.107, 0.707], [0.300, 0.566, 0.520], [0.328, 0.395, 0.734], [0.341, 0.237, 0.243], [0.343, 0.140, 0.882], [0.372, 0.954, 0.142], [0.398, 0.629, 0.825], [0.402, 0.789, 0.647], [0.433, 0.660, 0.147], [0.435, 0.959, 0.326], [0.436, 0.473, 0.330], [0.440, 0.217, 0.050], [0.454, 0.302, 0.544], [0.500, 0.000, 0.500], [0.500, 0.500, 0.000], [0.546, 0.698, 0.456], [0.560, 0.783, 0.950], [0.564, 0.527, 0.670], [0.565, 0.041, 0.674], [0.567, 0.340, 0.853], [0.598, 0.211, 0.353], [0.602, 0.371, 0.175], [0.628, 0.046, 0.858], [0.657, 0.860, 0.118], [0.659, 0.763, 0.757], [0.672, 0.605, 0.266], [0.700, 0.434, 0.480], [0.721, 0.893, 0.293], [0.722, 0.270, 0.691], [0.731, 0.119, 0.038], [0.786, 0.922, 0.464], [0.789, 0.402, 0.979], [0.798, 0.668, 0.597], [0.823, 0.479, 0.784], [0.834, 0.152, 0.213], [0.840, 0.688, 0.916], [0.851, 0.961, 0.637], [0.889, 0.182, 0.391], [0.894, 0.435, 0.147], [0.911, 0.961, 0.825], [0.926, 0.733, 0.083], [0.929, 0.469, 0.328], [0.951, 0.217, 0.563], [0.981, 0.764, 0.263], [0.064, 0.272, 0.255], [0.171, 0.790, 0.128], [0.185, 0.329, 0.591], [0.303, 0.841, 0.472], [0.304, 0.394, 0.928], [0.425, 0.907, 0.808], [0.575, 0.093, 0.192], [0.696, 0.606, 0.072], [0.697, 0.159, 0.528], [0.815, 0.671, 0.409], [0.829, 0.210, 0.872], [0.936, 0.728, 0.745]]}

{"formula": "GaMo3", "functional": "GGA-PBE", "state": "relaxed", "spacegroup": "Pm-3n (223)", "cell": [[4.977, 0.000, 0.000], [0.000, 4.977, 0.000], [0.000, 0.000, 4.977]], "species": ["Ga", "Ga", "Mo", "Mo", "Mo", "Mo", "Mo", "Mo"], "fractional_positions": [[0.000, 0.000, 0.000], [0.500, 0.500, 0.500], [0.000, 0.250, 0.500], [0.000, 0.750, 0.500], [0.250, 0.500, 0.000], [0.500, 0.000, 0.250], [0.500, 0.000, 0.750], [0.750, 0.500, 0.000]]}

{"formula": "Ga41Mo8", "functional": "GGA-PBE", "state": "relaxed", "spacegroup": "R-3 (148)", "cell": [[7.074, 4.084, 5.052], [-7.074, 4.084, 5.052], [0.000, -8.168, 5.052]], "species": ["Ga", "Ga", "Ga", "Ga", "Ga", "Ga", "Ga", "Ga", "Ga", "Ga", "Ga", "Ga", "Ga", "Ga", "Ga", "Ga", "Ga", "Ga", "Ga", "Ga", "Ga", "Ga", "Ga", "Ga", "Ga", "Ga", "Ga", "Ga", "Ga", "Ga", "Ga", "Ga", "Ga", "Ga", "Ga", "Ga", "Ga", "Ga", "Ga", "Ga", "Ga", "Mo", "Mo", "Mo", "Mo", "Mo", "Mo", "Mo", "Mo"], "fractional_positions": [[0.000, 0.000, 0.000], [0.000, 0.500, 0.500], [0.031, 0.213, 0.401], [0.057, 0.739, 0.874], [0.075, 0.449, 0.778], [0.124, 0.176, 0.679], [0.126, 0.943, 0.261], [0.176, 0.679, 0.124], [0.213, 0.401, 0.031], [0.221, 0.461, 0.325], [0.222, 0.925, 0.551], [0.261, 0.126, 0.943], [0.266, 0.634, 0.611], [0.321, 0.876, 0.824], [0.325, 0.221, 0.461], [0.366, 0.389, 0.734], [0.389, 0.734, 0.366], [0.401, 0.031, 0.213], [0.449, 0.778, 0.075], [0.461, 0.325, 0.221], [0.500, 0.000, 0.500], [0.500, 0.500, 0.000], [0.500, 0.500, 0.500], [0.539, 0.675, 0.779], [0.551, 0.222, 0.925], [0.599, 0.969, 0.787], [0.611, 0.266, 0.634], [0.634, 0.611, 0.266], [0.675, 0.779, 0.539], [0.679, 0.124, 0.176], [0.734, 0.366, 0.389], [0.739, 0.874, 0.057], [0.778, 0.075, 0.449], [0.779, 0.539, 0.675], [0.787, 0.599, 0.969], [0.824, 0.321, 0.876], [0.874, 0.057, 0.739], [0.876, 0.824, 0.321], [0.925, 0.551, 0.222], [0.943, 0.261, 0.126], [0.969, 0.787, 0.599], [0.113, 0.708, 0.388], [0.198, 0.198, 0.198], [0.292, 0.612, 0.887], [0.388, 0.113, 0.708], [0.612, 0.887, 0.292], [0.708, 0.388, 0.113], [0.802, 0.802, 0.802], [0.887, 0.292, 0.612]]}

{"formula": "GaMoN3", "functional": "GGA-PBE", "state": "relaxed", "spacegroup": "P-1 (2)", "cell": [[5.886, 0.000, 0.000], [-0.896, 7.381, 0.000], [-0.705, -0.429, 7.931]], "species": ["Ga", "Ga", "Ga", "Ga", "Mo", "Mo", "Mo", "Mo", "N", "N", "N", "N", "N", "N", "N", "N", "N", "N", "N", "N"], "fractional_positions": [[0.118, 0.359, 0.058], [0.308, 0.679, 0.782], [0.692, 0.321, 0.218], [0.882, 0.641, 0.942], [0.005, 0.669, 0.392], [0.164, 0.090, 0.269], [0.836, 0.910, 0.731], [0.995, 0.331, 0.608], [0.099, 0.853, 0.846], [0.101, 0.470, 0.848], [0.163, 0.185, 0.491], [0.188, 0.843, 0.276], [0.206, 0.590, 0.552], [0.377, 0.257, 0.164], [0.623, 0.743, 0.836], [0.794, 0.410, 0.448], [0.812, 0.157, 0.724], [0.837, 0.815, 0.509], [0.899, 0.530, 0.152], [0.901, 0.147, 0.154]]}

{"formula": "PrGa40Mo8", "functional": "GGA-PBE", "state": "relaxed", "spacegroup": "R-3 (148)", "cell": [[7.066, 4.080, 5.134], [-7.066, 4.080, 5.134], [0.000, -8.159, 5.134]], "species": ["Pr", "Ga", "Ga", "Ga", "Ga", "Ga", "Ga", "Ga", "Ga", "Ga", "Ga", "Ga", "Ga", "Ga", "Ga", "Ga", "Ga", "Ga", "Ga", "Ga", "Ga", "Ga", "Ga", "Ga", "Ga", "Ga", "Ga", "Ga", "Ga", "Ga", "Ga", "Ga", "Ga", "Ga", "Ga", "Ga", "Ga", "Ga", "Ga", "Ga", "Ga", "Mo", "Mo", "Mo", "Mo", "Mo", "Mo", "Mo", "Mo"], "fractional_positions": [[0.000, 0.000, 0.000], [0.000, 0.500, 0.500], [0.035, 0.214, 0.405], [0.040, 0.710, 0.858], [0.072, 0.443, 0.779], [0.121, 0.171, 0.691], [0.142, 0.960, 0.290], [0.171, 0.691, 0.121], [0.214, 0.405, 0.035], [0.221, 0.928, 0.557], [0.224, 0.469, 0.326], [0.269, 0.639, 0.611], [0.290, 0.142, 0.960], [0.309, 0.879, 0.829], [0.326, 0.224, 0.469], [0.361, 0.389, 0.731], [0.389, 0.731, 0.361], [0.405, 0.035, 0.214], [0.443, 0.779, 0.072], [0.469, 0.326, 0.224], [0.500, 0.000, 0.500], [0.500, 0.500, 0.000], [0.500, 0.500, 0.500], [0.531, 0.674, 0.776], [0.557, 0.221, 0.928], [0.595, 0.965, 0.786], [0.611, 0.269, 0.639], [0.639, 0.611, 0.269], [0.674, 0.776, 0.531], [0.691, 0.121, 0.171], [0.710, 0.858, 0.040], [0.731, 0.361, 0.389], [0.776, 0.531, 0.674], [0.779, 0.072, 0.443], [0.786, 0.595, 0.965], [0.829, 0.309, 0.879], [0.858, 0.040, 0.710], [0.879, 0.829, 0.309], [0.928, 0.557, 0.221], [0.960, 0.290, 0.142], [0.965, 0.786, 0.595], [0.114, 0.710, 0.390], [0.212, 0.212, 0.212], [0.290, 0.610, 0.886], [0.390, 0.114, 0.710], [0.610, 0.886, 0.290], [0.710, 0.390, 0.114], [0.788, 0.788, 0.788], [0.886, 0.290, 0.610]]}

{"formula": "GaMo4Se4S4", "functional": "GGA-PBE", "state": "relaxed", "spacegroup": "F-43m (216)", "cell": [[0.000, 5.086, 5.086], [5.086, 0.000, 5.086], [5.086, 5.086, 0.000]], "species": ["Ga", "Mo", "Mo", "Mo", "Mo", "Se", "Se", "Se", "Se", "S", "S", "S", "S"], "fractional_positions": [[0.000, 0.000, 0.000], [0.204, 0.599, 0.599], [0.599, 0.204, 0.599], [0.599, 0.599, 0.204], [0.599, 0.599, 0.599], [0.411, 0.863, 0.863], [0.863, 0.411, 0.863], [0.863, 0.863, 0.411], [0.863, 0.863, 0.863], [0.370, 0.370, 0.370], [0.370, 0.370, 0.889], [0.370, 0.889, 0.370], [0.889, 0.370, 0.370]]}

{"formula": "ScGa40Mo8", "functional": "GGA-PBE", "state": "relaxed", "spacegroup": "R-3 (148)", "cell": [[7.085, 4.090, 5.082], [-7.085, 4.090, 5.082], [0.000, -8.181, 5.082]], "species": ["Sc", "Ga", "Ga", "Ga", "Ga", "Ga", "Ga", "Ga", "Ga", "Ga", "Ga", "Ga", "Ga", "Ga", "Ga", "Ga", "Ga", "Ga", "Ga", "Ga", "Ga", "Ga", "Ga", "Ga", "Ga", "Ga", "Ga", "Ga", "Ga", "Ga", "Ga", "Ga", "Ga", "Ga", "Ga", "Ga", "Ga", "Ga", "Ga", "Ga", "Ga", "Mo", "Mo", "Mo", "Mo", "Mo", "Mo", "Mo", "Mo"], "fractional_positions": [[0.000, 0.000, 0.000], [0.000, 0.500, 0.500], [0.033, 0.214, 0.402], [0.054, 0.732, 0.870], [0.072, 0.452, 0.780], [0.123, 0.174, 0.685], [0.130, 0.946, 0.268], [0.174, 0.685, 0.123], [0.214, 0.402, 0.033], [0.220, 0.928, 0.548], [0.221, 0.463, 0.324], [0.268, 0.130, 0.946], [0.269, 0.637, 0.612], [0.315, 0.877, 0.826], [0.324, 0.221, 0.463], [0.363, 0.388, 0.731], [0.388, 0.731, 0.363], [0.402, 0.033, 0.214], [0.452, 0.780, 0.072], [0.463, 0.324, 0.221], [0.500, 0.000, 0.500], [0.500, 0.500, 0.000], [0.500, 0.500, 0.500], [0.537, 0.676, 0.779], [0.548, 0.220, 0.928], [0.598, 0.967, 0.786], [0.612, 0.269, 0.637], [0.637, 0.612, 0.269], [0.676, 0.779, 0.537], [0.685, 0.123, 0.174], [0.731, 0.363, 0.388], [0.732, 0.870, 0.054], [0.779, 0.537, 0.676], [0.780, 0.072, 0.452], [0.786, 0.598, 0.967], [0.826, 0.315, 0.877], [0.870, 0.054, 0.732], [0.877, 0.826, 0.315], [0.928, 0.548, 0.220], [0.946, 0.268, 0.130], [0.967, 0.786, 0.598], [0.113, 0.706, 0.389], [0.201, 0.201, 0.201], [0.294, 0.611, 0.887], [0.389, 0.113, 0.706], [0.611, 0.887, 0.294], [0.706, 0.389, 0.113], [0.799, 0.799, 0.799], [0.887, 0.294, 0.611]]}

Computed energy of formation from the pure elements, in the same sequence as the records: -0.36; -0.14; -0.17; -0.13; -0.18; -0.15; -0.86; -0.15 eV/atom.
Computed calculated total energy, in the same sequence as the records: -87.2; -327.9; -72.5; -217.5; -154.8; -220.3; -86.1; -221.7 eV for the cell shown.